(1)
# VCoP

A relaxed structure of VCoP (PBE-GGA, Materials Project).

## Properties
**Density**: 6.8 g/cm³
**Total DFT energy (no corrections)**: -8.037 eV/atom
**Formation enthalpy at 0 K**: -0.84 eV/atom

a = 5.8730 Å, b = 3.5062 Å, c = 6.7011 Å
α = 90.00°, β = 90.00°, γ = 90.00°
Space group Pnma (No. 62)
Unique sites:
V: 0.0289 0.2500 0.1683 [4 per cell]
Co: 0.1434 0.2500 0.5618 [4 per cell]
P: 0.2323 0.7500 0.3747 [4 per cell]

***

(2)
# Co3PW2

A relaxed structure of Co3PW2 (PBE-GGA, Materials Project).

## Properties
**Density**: 13.3 g/cm³
**Total DFT energy (no corrections)**: -9.048 eV/atom
**Formation enthalpy at 0 K**: -0.27 eV/atom

a = 4.7608 Å, b = 4.7608 Å, c = 7.3169 Å
α = 90.00°, β = 90.00°, γ = 120.00°
Space group P6_3/mmc (No. 194)
Unique sites:
Co: 0.1685 0.3369 0.2500 [6 per cell]
P: 0.0000 0.0000 0.0000 [2 per cell]
W: 0.3333 0.6667 0.5654 [4 per cell]

***

(3)
# YCo3P2

A relaxed structure of YCo3P2 (PBE-GGA, Materials Project).

## Properties
**Density**: 6.9 g/cm³
**Total DFT energy (no corrections)**: -7.369 eV/atom
**Formation enthalpy at 0 K**: -0.93 eV/atom

a = 3.6909 Å, b = 10.5210 Å, c = 12.1535 Å
α = 90.00°, β = 90.00°, γ = 90.00°
Space group Pmmn (No. 59, origin choice 2)
Unique sites:
Y: 0.2500 0.0665 0.2056 [4 per cell]
Y: 0.2500 0.2500 0.4768 [2 per cell]
Co: 0.2500 0.1295 0.7088 [4 per cell]
Co: 0.2500 0.2500 0.0142 [2 per cell]
Co: 0.2500 0.5467 0.4311 [4 per cell]
Co: 0.2500 0.5831 0.9942 [4 per cell]
Co: 0.2500 0.7500 0.1591 [2 per cell]
Co: 0.2500 0.7500 0.7031 [2 per cell]
P: 0.2500 0.0985 0.8933 [4 per cell]
P: 0.2500 0.5600 0.6161 [4 per cell]
P: 0.2500 0.7500 0.3440 [2 per cell]
P: 0.2500 0.7500 0.8827 [2 per cell]

***

(4)
# Y5Co19P12

A relaxed structure of Y5Co19P12 (PBE-GGA, Materials Project).

## Properties
**Density**: 7.0 g/cm³
**Total DFT energy (no corrections)**: -7.340 eV/atom
**Formation enthalpy at 0 K**: -0.89 eV/atom

a = 12.0119 Å, b = 12.0119 Å, c = 3.6771 Å
α = 90.00°, β = 90.00°, γ = 120.00°
Space group P-62m (No. 189)
Unique sites:
Y: 0.0000 0.1877 0.0000 [3 per cell]
Y: 0.3333 0.6667 0.5000 [2 per cell]
Co: 0.0000 0.0000 0.5000 [1 per cell]
Co: 0.0000 0.5527 0.5000 [3 per cell]
Co: 0.0000 0.7149 0.0000 [3 per cell]
Co: 0.1254 0.4836 0.0000 [6 per cell]
Co: 0.1777 0.7998 0.5000 [6 per cell]
P: 0.0000 0.3685 0.5000 [3 per cell]
P: 0.0000 0.8191 0.5000 [3 per cell]
P: 0.1657 0.6857 0.0000 [6 per cell]

***

(5)
# Zr5Co19P12

A relaxed structure of Zr5Co19P12 (PBE-GGA, Materials Project).

## Properties
**Density**: 7.4 g/cm³
**Total DFT energy (no corrections)**: -7.630 eV/atom
**Formation enthalpy at 0 K**: -0.89 eV/atom

a = 11.8340 Å, b = 11.8340 Å, c = 3.6062 Å
α = 90.00°, β = 90.00°, γ = 120.00°
Space group P-62m (No. 189)
Unique sites:
Zr: 0.0000 0.8154 0.0000 [3 per cell]
Zr: 0.3333 0.6667 0.5000 [2 per cell]
Co: 0.0000 0.0000 0.5000 [1 per cell]
Co: 0.0000 0.2848 0.0000 [3 per cell]
Co: 0.0000 0.4518 0.5000 [3 per cell]
Co: 0.1274 0.6441 0.0000 [6 per cell]
Co: 0.1792 0.3769 0.5000 [6 per cell]
P: 0.0000 0.1777 0.5000 [3 per cell]
P: 0.0000 0.6380 0.5000 [3 per cell]
P: 0.1660 0.4824 0.0000 [6 per cell]

***

(6)
# Zr2CoP

A relaxed structure of Zr2CoP (PBE-GGA, Materials Project).

## Properties
**Density**: 6.7 g/cm³
**Total DFT energy (no corrections)**: -8.338 eV/atom
**Formation enthalpy at 0 K**: -0.93 eV/atom

a = 5.2725 Å, b = 3.6605 Å, c = 7.4283 Å
α = 90.00°, β = 110.34°, γ = 90.00°
Space group P2_1/m (No. 11)
Unique sites:
Zr: 0.2077 0.2500 0.4194 [2 per cell]
Zr: 0.2746 0.7500 0.0642 [2 per cell]
Co: 0.1464 0.2500 0.7894 [2 per cell]
P: 0.3582 0.7500 0.7113 [2 per cell]

***

(7)
# PaCo3

A relaxed structure of PaCo3 (PBE-GGA, Materials Project).

## Properties
**Density**: 12.3 g/cm³
**Total DFT energy (no corrections)**: -8.036 eV/atom
**Formation enthalpy at 0 K**: -0.33 eV/atom

a = 3.8040 Å, b = 3.8040 Å, c = 3.8040 Å
α = 90.00°, β = 90.00°, γ = 90.00°
Space group Pm-3m (No. 221)
Unique sites:
Pa: 0.0000 0.0000 0.0000 [1 per cell]
Co: 0.0000 0.5000 0.5000 [3 per cell]

***

(8)
# Sm12Co6Pb

A relaxed structure of Sm12Co6Pb (PBE-GGA, Materials Project).

## Properties
**Density**: 8.2 g/cm³
**Total DFT energy (no corrections)**: -5.616 eV/atom
**Formation enthalpy at 0 K**: -0.20 eV/atom

a = 9.8690 Å, b = 9.8690 Å, c = 9.8690 Å
α = 90.00°, β = 90.00°, γ = 90.00°
Space group Im-3 (No. 204)
Unique sites:
Sm: 0.0000 0.3067 0.1933 [24 per cell]
Co: 0.0000 0.1122 0.5000 [12 per cell]
Pb: 0.0000 0.0000 0.0000 [2 per cell]

***

(9)
# Co2Pd

A relaxed structure of Co2Pd (PBE-GGA, Materials Project).

## Properties
**Density**: 9.8 g/cm³
**Total DFT energy (no corrections)**: -6.389 eV/atom
**Formation enthalpy at 0 K**: 0.08 eV/atom

a = 2.6379 Å, b = 2.6379 Å, c = 6.3193 Å
α = 90.00°, β = 90.00°, γ = 120.00°
Space group P-3m1 (No. 164)
Unique sites:
Co: 0.3333 0.6667 0.1502 [2 per cell]
Pd: 0.0000 0.0000 0.5000 [1 per cell]

***

(10)
# CoPd3

A relaxed structure of CoPd3 (PBE-GGA, Materials Project).

## Properties
**Density**: 10.8 g/cm³
**Total DFT energy (no corrections)**: -5.617 eV/atom
**Formation enthalpy at 0 K**: 0.04 eV/atom

a = 3.8706 Å, b = 3.8706 Å, c = 3.8706 Å
α = 90.00°, β = 90.00°, γ = 90.00°
Space group Pm-3m (No. 221)
Unique sites:
Co: 0.0000 0.0000 0.0000 [1 per cell]
Pd: 0.0000 0.5000 0.5000 [3 per cell]

***

(11)
# CoPd3

A relaxed structure of CoPd3 (PBE-GGA, Materials Project).

## Properties
**Density**: 10.8 g/cm³
**Total DFT energy (no corrections)**: -5.615 eV/atom
**Formation enthalpy at 0 K**: 0.05 eV/atom

a = 5.4929 Å, b = 5.4929 Å, c = 4.4652 Å
α = 90.00°, β = 90.00°, γ = 120.00°
Space group P6_3/mmc (No. 194)
Unique sites:
Co: 0.3333 0.6667 0.2500 [2 per cell]
Pd: 0.1698 0.3396 0.7500 [6 per cell]

***

(12)
# Ta4Co2PdSe12

A relaxed structure of Ta4Co2PdSe12 (PBE-GGA, Materials Project).

## Properties
**Density**: 7.1 g/cm³
**Total DFT energy (no corrections)**: -6.424 eV/atom
**Formation enthalpy at 0 K**: -1.00 eV/atom

a = 14.0163 Å, b = 3.4405 Å, c = 19.4869 Å
α = 90.00°, β = 110.15°, γ = 90.00°
Space group C2/m (No. 12)
Unique sites:
Ta: 0.1241 0.0000 0.1509 [4 per cell]
Ta: 0.2462 0.0000 0.4061 [4 per cell]
Co: 0.2294 0.5000 0.2842 [4 per cell]
Pd: 0.0000 0.5000 0.0000 [2 per cell]
Se: 0.0256 0.5000 0.8806 [4 per cell]
Se: 0.1061 0.0000 0.2811 [4 per cell]
Se: 0.1254 0.0000 0.6057 [4 per cell]
Se: 0.1373 0.5000 0.4496 [4 per cell]
Se: 0.1847 0.5000 0.0736 [4 per cell]
Se: 0.1932 0.5000 0.7639 [4 per cell]

***

(13)
# PrCo3

A relaxed structure of PrCo3 (PBE-GGA, Materials Project).

## Properties
**Density**: 8.4 g/cm³
**Total DFT energy (no corrections)**: -6.538 eV/atom
**Formation enthalpy at 0 K**: -0.01 eV/atom

a = 5.0952 Å, b = 5.0952 Å, c = 25.0887 Å
α = 90.00°, β = 90.00°, γ = 120.00°
Space group R-3m (No. 166, hexagonal axes)
Unique sites:
Pr: 0.0000 0.0000 0.0000 [3 per cell]
Pr: 0.0000 0.0000 0.1396 [6 per cell]
Co: 0.0000 0.0000 0.3338 [6 per cell]
Co: 0.0000 0.0000 0.5000 [3 per cell]
Co: 0.0030 0.5015 0.0791 [18 per cell]

***

(14)
# PrCo5

A relaxed structure of PrCo5 (PBE-GGA, Materials Project).

## Properties
**Density**: 8.3 g/cm³
**Total DFT energy (no corrections)**: -6.735 eV/atom
**Formation enthalpy at 0 K**: -0.01 eV/atom

a = 5.0407 Å, b = 5.0407 Å, c = 3.9401 Å
α = 90.00°, β = 90.00°, γ = 120.00°
Space group P6/mmm (No. 191)
Unique sites:
Pr: 0.0000 0.0000 0.0000 [1 per cell]
Co: 0.0000 0.5000 0.5000 [3 per cell]
Co: 0.3333 0.6667 0.0000 [2 per cell]

***

(15)
# Pr3Co

A relaxed structure of Pr3Co (PBE-GGA, Materials Project).

## Properties
**Density**: 6.8 g/cm³
**Total DFT energy (no corrections)**: -5.408 eV/atom
**Formation enthalpy at 0 K**: -0.05 eV/atom

a = 7.1768 Å, b = 10.0834 Å, c = 6.5402 Å
α = 90.00°, β = 90.00°, γ = 90.00°
Space group Pnma (No. 62)
Unique sites:
Pr: 0.0471 0.2500 0.1483 [4 per cell]
Pr: 0.1704 0.0711 0.6751 [8 per cell]
Co: 0.1144 0.7500 0.4378 [4 per cell]

***

(16)
# Pr4Co

A relaxed structure of Pr4Co (PBE-GGA, Materials Project).

## Properties
**Density**: 6.0 g/cm³
**Total DFT energy (no corrections)**: -4.940 eV/atom
**Formation enthalpy at 0 K**: 0.31 eV/atom

a = 11.1166 Å, b = 11.1166 Å, c = 11.1166 Å
α = 90.00°, β = 90.00°, γ = 90.00°
Space group Fd-3m (No. 227, origin choice 2)
Unique sites:
Pr: 0.0092 0.0092 0.2408 [32 per cell]
Co: 0.1250 0.1250 0.6250 [8 per cell]

***

(17)
# Pr5Co2

A relaxed structure of Pr5Co2 (PBE-GGA, Materials Project).

## Properties
**Density**: 7.0 g/cm³
**Total DFT energy (no corrections)**: -5.492 eV/atom
**Formation enthalpy at 0 K**: -0.05 eV/atom

a = 16.8306 Å, b = 6.5997 Å, c = 7.1038 Å
α = 90.00°, β = 96.19°, γ = 90.00°
Space group C2/c (No. 15)
Unique sites:
Pr: 0.0000 0.0721 0.2500 [4 per cell]
Pr: 0.0937 0.3913 0.9131 [8 per cell]
Pr: 0.2150 0.0697 0.3177 [8 per cell]
Co: 0.1106 0.2069 0.5731 [8 per cell]